(1)
# Co7Sb2O12

A relaxed structure of Co7Sb2O12 (GGA+U, the Materials Project database).

Results
SG ... No. 12
E (MP2020) ... -297.9 eV per cell
Energy relative to the elements ... -1.503 eV per atom
Crystal system ... monoclinic
Total magnetization ... 41.94 Bohr magnetons per cell
Relative energy among the computed polymorphs ... 34.6 meV/atom
E_tot ... -6.154 eV per atom

Lattice parameters (Å, degrees): 6.106 6.106 15.346 89.80 89.80 59.66
Positions (direct):
O  0.483  0.483  0.755
O  0.185  0.185  0.917
O  0.491  0.020  0.756
O  0.509  0.980  0.244
O  0.154  0.694  0.421
O  0.641  0.192  0.918
O  0.815  0.815  0.083
O  0.694  0.154  0.421
O  0.808  0.359  0.082
O  0.659  0.659  0.930
O  0.020  0.491  0.756
O  0.192  0.641  0.918
O  0.669  0.669  0.402
O  0.998  0.998  0.264
O  0.152  0.152  0.420
O  0.341  0.341  0.070
O  0.846  0.306  0.579
O  0.359  0.808  0.082
O  0.002  0.002  0.736
O  0.331  0.331  0.598
O  0.848  0.848  0.580
O  0.306  0.846  0.579
O  0.517  0.517  0.245
O  0.980  0.509  0.244
Co  0.993  0.993  0.141
Co  0.668  0.668  0.531
Co  0.007  0.007  0.859
Co  0.834  0.834  0.338
Co  0.661  0.661  0.791
Co  0.166  0.166  0.662
Co  0.834  0.334  0.338
Co  0.500  0.000  0.000
Co  0.666  0.166  0.662
Co  0.000  0.500  0.000
Co  0.332  0.332  0.469
Co  0.166  0.666  0.662
Co  0.334  0.834  0.338
Co  0.339  0.339  0.209
Sb  0.672  0.672  0.172
Sb  0.328  0.328  0.828
Sb  0.500  0.500  0.000
Sb  0.000  0.000  0.500

(2)
# Sr2Ca2Mn3FeO10

A relaxed structure of Sr2Ca2Mn3FeO10 (GGA+U, the Materials Project database).

Results
SG ... No. 1
E (MP2020) ... -1101.8 eV per cell
Energy relative to the elements ... -2.494 eV per atom
Crystal system ... triclinic
Total magnetization ... 135.69 Bohr magnetons per cell
E_tot ... -6.866 eV per atom

Lattice parameters (Å, degrees): 11.001 11.108 17.709 108.29 108.19 90.01
Positions (direct):
Mn  0.502  0.499  0.497
Mn  0.252  0.248  0.498
Mn  0.753  0.747  0.497
Mn  0.353  0.897  0.247
Mn  0.861  0.412  0.758
Mn  0.753  0.250  0.499
Mn  0.856  0.406  0.245
Mn  0.106  0.600  0.245
Mn  0.257  0.252  0.003
Mn  0.604  0.089  0.242
Mn  0.005  0.999  0.498
Mn  0.002  0.499  0.497
Mn  0.613  0.598  0.757
Mn  0.106  0.088  0.244
Mn  0.353  0.407  0.243
Mn  0.366  0.406  0.755
Mn  0.360  0.904  0.753
Mn  0.868  0.901  0.754
Mn  0.609  0.101  0.750
Mn  0.252  0.749  0.498
Mn  0.605  0.595  0.245
Mn  0.114  0.605  0.756
Mn  0.859  0.895  0.243
Mn  0.119  0.094  0.756
O  0.690  0.688  0.358
O  0.130  0.375  0.503
O  0.625  0.621  0.990
O  0.930  0.577  0.248
O  0.686  0.430  0.761
O  0.194  0.205  0.872
O  0.333  0.293  0.132
O  0.573  0.077  0.632
O  0.385  0.382  0.014
O  0.132  0.124  0.995
O  0.621  0.622  0.491
O  0.625  0.123  0.495
O  0.876  0.619  0.990
O  0.628  0.126  0.998
O  0.834  0.785  0.132
O  0.327  0.790  0.136
O  0.139  0.380  0.016
O  0.889  0.883  0.015
O  0.125  0.625  0.994
O  0.190  0.697  0.359
O  0.946  0.414  0.869
O  0.447  0.915  0.869
O  0.692  0.942  0.753
O  0.376  0.623  0.492
O  0.875  0.623  0.492
O  0.187  0.927  0.762
O  0.681  0.922  0.238
O  0.839  0.294  0.135
O  0.427  0.059  0.240
O  0.881  0.874  0.500
O  0.824  0.806  0.637
O  0.429  0.416  0.355
O  0.877  0.122  0.497
O  0.581  0.095  0.134
O  0.879  0.122  0.996
O  0.091  0.093  0.136
O  0.177  0.919  0.247
O  0.435  0.916  0.363
O  0.638  0.383  0.015
O  0.885  0.384  0.012
O  0.379  0.377  0.502
O  0.928  0.062  0.238
O  0.676  0.425  0.237
O  0.371  0.118  0.493
O  0.137  0.880  0.012
O  0.941  0.579  0.763
O  0.330  0.305  0.641
O  0.703  0.706  0.869
O  0.130  0.877  0.500
O  0.386  0.884  0.014
O  0.682  0.184  0.357
O  0.628  0.376  0.501
O  0.427  0.067  0.744
O  0.950  0.911  0.870
O  0.203  0.709  0.869
O  0.078  0.595  0.133
O  0.128  0.119  0.494
O  0.444  0.414  0.869
O  0.379  0.624  0.995
O  0.686  0.206  0.866
O  0.440  0.580  0.761
O  0.320  0.804  0.639
O  0.181  0.189  0.358
O  0.377  0.878  0.503
O  0.942  0.067  0.752
O  0.428  0.578  0.247
O  0.121  0.624  0.490
O  0.088  0.078  0.642
O  0.930  0.417  0.358
O  0.577  0.595  0.133
O  0.825  0.315  0.643
O  0.071  0.583  0.640
O  0.635  0.878  0.013
O  0.176  0.429  0.239
O  0.878  0.375  0.502
O  0.192  0.439  0.753
O  0.937  0.914  0.358
O  0.373  0.121  0.994
O  0.576  0.579  0.642
O  0.626  0.871  0.499
Ca  0.451  0.708  0.897
Ca  0.304  0.062  0.105
Ca  0.807  0.563  0.106
Ca  0.200  0.936  0.392
Ca  0.803  0.063  0.105
Ca  0.555  0.792  0.104
Ca  0.554  0.292  0.104
Ca  0.449  0.703  0.392
Ca  0.950  0.705  0.392
Ca  0.203  0.938  0.898
Ca  0.951  0.709  0.899
Ca  0.703  0.441  0.899
Ca  0.053  0.292  0.106
Ca  0.306  0.565  0.107
Ca  0.056  0.792  0.106
Ca  0.306  0.059  0.605
Fe  0.009  0.001  0.004
Fe  0.007  0.502  0.003
Fe  0.257  0.752  0.003
Fe  0.758  0.254  0.005
Fe  0.757  0.750  0.002
Fe  0.507  0.502  0.003
Fe  0.507  0.001  0.003
Fe  0.502  0.999  0.498
Sr  0.060  0.301  0.611
Sr  0.697  0.440  0.386
Sr  0.060  0.803  0.611
Sr  0.949  0.200  0.892
Sr  0.310  0.559  0.611
Sr  0.559  0.303  0.611
Sr  0.200  0.444  0.893
Sr  0.808  0.057  0.609
Sr  0.452  0.200  0.891
Sr  0.811  0.558  0.611
Sr  0.701  0.942  0.893
Sr  0.699  0.938  0.386
Sr  0.559  0.801  0.610
Sr  0.446  0.197  0.387
Sr  0.196  0.440  0.386
Sr  0.947  0.195  0.386

(3)
# K3CoC6O14

A relaxed structure of K3CoC6O14 (GGA+U, the Materials Project database).

Results
SG ... No. 15
E (MP2020) ... -669.8 eV per cell
Energy relative to the elements ... -1.349 eV per atom
Crystal system ... monoclinic
Total magnetization ... 8.04 Bohr magnetons per cell
Relative energy among the computed polymorphs ... 89.8 meV/atom
E_tot ... -6.815 eV per atom

Lattice parameters (Å, degrees): 13.206 13.206 12.716 65.57 65.57 51.40
Positions (direct):
C  0.977  0.655  0.902
C  0.033  0.118  0.459
C  0.620  0.424  0.363
C  0.552  0.621  0.818
C  0.777  0.063  0.963
C  0.380  0.576  0.637
C  0.967  0.882  0.541
C  0.223  0.937  0.037
C  0.063  0.777  0.463
C  0.118  0.033  0.959
C  0.937  0.223  0.537
C  0.023  0.345  0.098
C  0.379  0.448  0.682
C  0.922  0.630  0.835
C  0.576  0.380  0.137
C  0.370  0.078  0.665
C  0.448  0.379  0.182
C  0.630  0.922  0.335
C  0.345  0.023  0.598
C  0.621  0.552  0.318
C  0.882  0.967  0.041
C  0.424  0.620  0.863
C  0.655  0.977  0.402
C  0.078  0.370  0.165
O  0.661  0.149  0.016
O  0.121  0.402  0.587
O  0.518  0.665  0.304
O  0.918  0.341  0.160
O  0.665  0.518  0.804
O  0.195  0.943  0.141
O  0.341  0.918  0.660
O  0.332  0.076  0.494
O  0.484  0.572  0.608
O  0.737  0.531  0.294
O  0.010  0.161  0.355
O  0.176  0.379  0.118
O  0.621  0.824  0.382
O  0.615  0.966  0.838
O  0.263  0.469  0.706
O  0.990  0.839  0.645
O  0.012  0.381  0.273
O  0.379  0.176  0.618
O  0.531  0.737  0.794
O  0.619  0.988  0.227
O  0.824  0.621  0.882
O  0.516  0.428  0.392
O  0.034  0.385  0.662
O  0.161  0.010  0.855
O  0.924  0.668  0.006
O  0.315  0.738  0.867
O  0.659  0.082  0.340
O  0.428  0.516  0.892
O  0.995  0.877  0.003
O  0.877  0.995  0.503
O  0.057  0.805  0.359
O  0.839  0.990  0.145
O  0.339  0.851  0.984
O  0.685  0.262  0.133
O  0.381  0.012  0.773
O  0.966  0.615  0.338
O  0.262  0.685  0.633
O  0.943  0.195  0.641
O  0.005  0.123  0.997
O  0.082  0.659  0.840
O  0.385  0.034  0.162
O  0.149  0.661  0.516
O  0.402  0.121  0.087
O  0.335  0.482  0.196
O  0.805  0.057  0.859
O  0.851  0.339  0.484
O  0.076  0.332  0.994
O  0.572  0.484  0.108
O  0.879  0.598  0.413
O  0.598  0.879  0.913
O  0.988  0.619  0.727
O  0.668  0.924  0.506
O  0.123  0.005  0.497
O  0.482  0.335  0.696
O  0.738  0.315  0.367
O  0.469  0.263  0.206
K  0.772  0.683  0.649
K  0.833  0.388  0.961
K  0.667  0.333  0.750
K  0.333  0.667  0.250
K  0.683  0.772  0.149
K  0.228  0.317  0.351
K  0.317  0.228  0.851
K  0.612  0.167  0.539
K  0.923  0.077  0.250
K  0.388  0.833  0.461
K  0.167  0.612  0.039
K  0.077  0.923  0.750
Co  0.654  0.124  0.177
Co  0.346  0.876  0.823
Co  0.876  0.346  0.323
Co  0.124  0.654  0.677

(4)
# Li6V3W3O16

A relaxed structure of Li6V3W3O16 (GGA+U, the Materials Project database).

Results
SG ... No. 1
E (MP2020) ... -220.4 eV per cell
Energy relative to the elements ... -2.275 eV per atom
Crystal system ... triclinic
Total magnetization ... 5.00 Bohr magnetons per cell
Relative energy among the computed polymorphs ... 44.3 meV/atom
E_tot ... -6.823 eV per atom

Lattice parameters (Å, degrees): 5.884 5.818 10.229 90.09 90.69 119.55
Positions (direct):
O  0.653  0.327  0.594
O  0.512  0.026  0.824
O  0.310  0.154  0.108
O  0.849  0.687  0.114
O  0.697  0.848  0.619
O  0.484  0.979  0.323
O  0.158  0.845  0.611
O  0.973  0.488  0.820
O  0.343  0.671  0.083
O  0.484  0.506  0.323
O  0.005  0.003  0.315
O  0.849  0.161  0.114
O  0.015  0.007  0.814
O  0.510  0.486  0.823
O  0.018  0.509  0.339
O  0.156  0.312  0.611
W  0.177  0.815  0.214
W  0.348  0.175  0.715
W  0.177  0.363  0.213
V  0.828  0.176  0.711
V  0.833  0.652  0.712
V  0.657  0.829  0.212
Li  0.994  0.996  0.996
Li  0.663  0.332  0.399
Li  0.330  0.663  0.512
Li  0.332  0.667  0.888
Li  0.657  0.330  0.004
Li  0.987  0.992  0.496

(5)
# NaLiMnP2O7

A relaxed structure of NaLiMnP2O7 (GGA+U, the Materials Project database).

Results
SG ... No. 1
E (MP2020) ... -178.0 eV per cell
Energy relative to the elements ... -2.597 eV per atom
Crystal system ... triclinic
Total magnetization ... 10.00 Bohr magnetons per cell
E_tot ... -6.879 eV per atom

Lattice parameters (Å, degrees): 6.635 6.699 7.046 67.03 85.60 83.49
Positions (direct):
O  0.242  0.382  0.532
O  0.001  0.086  0.705
O  0.601  0.425  0.815
O  0.769  0.638  0.482
O  0.388  0.586  0.178
O  0.335  0.060  0.866
O  0.401  0.761  0.551
O  0.275  0.204  0.274
O  0.918  0.614  0.156
O  0.596  0.258  0.424
O  0.058  0.365  0.858
O  0.678  0.939  0.131
O  0.688  0.802  0.752
O  0.023  0.904  0.281
Na  0.861  0.269  0.149
Na  0.157  0.666  0.887
P  0.383  0.352  0.345
P  0.603  0.660  0.656
P  0.855  0.777  0.255
P  0.153  0.220  0.754
Li  0.646  0.658  0.036
Li  0.110  0.001  0.485
Mn  0.355  0.910  0.208
Mn  0.661  0.130  0.751

(6)
# Li9Mn2Co5O16

A relaxed structure of Li9Mn2Co5O16 (GGA+U, the Materials Project database).

Results
SG ... No. 1
E (MP2020) ... -206.6 eV per cell
Energy relative to the elements ... -1.762 eV per atom
Crystal system ... triclinic
Total magnetization ... 14.00 Bohr magnetons per cell
Relative energy among the computed polymorphs ... 102.4 meV/atom
E_tot ... -5.752 eV per atom

Lattice parameters (Å, degrees): 2.970 9.988 10.012 102.00 89.95 90.59
Positions (direct):
O  0.510  0.878  0.561
O  0.494  0.610  0.673
O  0.032  0.388  0.571
O  0.998  0.378  0.060
O  0.524  0.109  0.429
O  0.493  0.108  0.949
O  0.507  0.387  0.817
O  0.500  0.382  0.336
O  0.978  0.890  0.821
O  0.967  0.613  0.441
O  0.008  0.621  0.924
O  0.007  0.890  0.298
O  0.992  0.122  0.693
O  0.005  0.105  0.190
O  0.499  0.622  0.173
O  0.490  0.898  0.060
Co  0.003  0.500  0.754
Co  0.504  0.497  0.013
Co  0.495  0.500  0.493
Co  0.472  0.001  0.739
Co  0.028  0.998  0.509
Li  0.997  0.503  0.249
Li  0.998  0.268  0.871
Li  0.006  0.728  0.123
Li  0.497  0.276  0.129
Li  0.495  0.741  0.867
Li  0.003  0.262  0.387
Li  0.501  0.729  0.374
Li  0.504  0.256  0.631
Li  0.993  0.740  0.618
Mn  0.509  0.000  0.253
Mn  0.990  0.001  0.996